Entry 1:
The following is a DFT calculation (GGA-PBE) of a relaxed BaH18O10 crystal.

Computed properties:
- DFT total energy: -516.314 eV per cell
- Formation energy: -23.481 eV/f.u.
- ρ: 1.58 g/cm³

The structure in CIF format:
```
data_BaH18O10
_chemical_formula_sum 'Ba4 H72 O40'
_cell_length_a 9.248
_cell_length_b 10.909
_cell_length_c 15.017
_cell_angle_alpha 90.00
_cell_angle_beta 118.99
_cell_angle_gamma 90.00
_symmetry_space_group_name_H-M 'P 1 21/c 1'
_symmetry_Int_Tables_number 14
loop_
_symmetry_equiv_pos_as_xyz
'x,y,z'
'-x,-y,-z'
'-x,y+1/2,-z+1/2'
'x,-y+1/2,z+1/2'
loop_
_atom_site_label
_atom_site_type_symbol
_atom_site_fract_x
_atom_site_fract_y
_atom_site_fract_z
Ba1 Ba 0.248 0.223 0.223
H1 H 0.009 0.631 0.129
H2 H 0.039 0.571 0.897
H3 H 0.040 0.614 0.093
H4 H 0.094 0.502 0.374
H5 H 0.094 0.594 0.299
H6 H 0.101 0.198 0.878
H7 H 0.185 0.709 0.610
H8 H 0.208 0.025 0.382
H9 H 0.229 0.684 0.664
H10 H 0.277 0.236 0.963
H11 H 0.278 0.627 0.067
H12 H 0.285 0.513 0.909
H13 H 0.290 0.585 0.552
H14 H 0.324 0.732 0.870
H15 H 0.326 0.640 0.419
H16 H 0.332 0.571 0.087
H17 H 0.459 0.531 0.579
H18 H 0.497 0.206 0.122
O1 O 0.019 0.537 0.307
O2 O 0.022 0.743 0.923
O3 O 0.043 0.115 0.593
O4 O 0.214 0.210 0.891
O5 O 0.305 0.679 0.354
O6 O 0.351 0.548 0.521
O7 O 0.405 0.232 0.597
O8 O 0.417 0.513 0.757
O9 O 0.471 0.040 0.767
O10 O 0.493 0.130 0.585
```


Entry 2:
The following is a DFT calculation (GGA-PBE) of a relaxed BaH16O10 crystal.

Computed properties:
- DFT total energy: -271.029 eV per cell
- Formation energy: -36.702 eV/f.u.
- ρ: 2.10 g/cm³

The structure in CIF format:
```
data_BaH16O10
_chemical_formula_sum 'Ba2 H32 O20'
_cell_length_a 6.441
_cell_length_b 6.462
_cell_length_c 11.933
_cell_angle_alpha 91.62
_cell_angle_beta 90.61
_cell_angle_gamma 91.63
_symmetry_space_group_name_H-M 'P 1'
_symmetry_Int_Tables_number 1
loop_
_symmetry_equiv_pos_as_xyz
'x,y,z'
loop_
_atom_site_label
_atom_site_type_symbol
_atom_site_fract_x
_atom_site_fract_y
_atom_site_fract_z
Ba1 Ba 0.000 0.000 0.000
Ba2 Ba 0.014 0.980 0.502
H1 H 0.039 0.455 0.879
H2 H 0.053 0.522 0.375
H3 H 0.062 0.555 0.643
H4 H 0.075 0.374 0.191
H5 H 0.270 0.391 0.906
H6 H 0.275 0.770 0.802
H7 H 0.286 0.389 0.120
H8 H 0.288 0.585 0.403
H9 H 0.298 0.597 0.615
H10 H 0.318 0.869 0.213
H11 H 0.380 0.065 0.692
H12 H 0.401 0.700 0.910
H13 H 0.404 0.270 0.618
H14 H 0.404 0.717 0.116
H15 H 0.405 0.254 0.402
H16 H 0.468 0.023 0.378
H17 H 0.541 0.029 0.874
H18 H 0.568 0.045 0.140
H19 H 0.600 0.265 0.903
H20 H 0.610 0.696 0.408
H21 H 0.612 0.280 0.114
H22 H 0.624 0.701 0.620
H23 H 0.638 0.936 0.674
H24 H 0.714 0.596 0.910
H25 H 0.715 0.794 0.299
H26 H 0.716 0.611 0.122
H27 H 0.726 0.381 0.412
H28 H 0.732 0.392 0.616
H29 H 0.807 0.254 0.306
H30 H 0.808 0.701 0.800
H31 H 0.875 0.307 0.715
H32 H 0.954 0.632 0.171
O1 O 0.130 0.334 0.881
O2 O 0.155 0.639 0.372
O3 O 0.156 0.303 0.135
O4 O 0.170 0.668 0.643
O5 O 0.317 0.142 0.632
O6 O 0.335 0.826 0.873
O7 O 0.342 0.859 0.133
O8 O 0.347 0.114 0.377
O9 O 0.507 0.499 0.953
O10 O 0.508 0.503 0.079
O11 O 0.519 0.491 0.577
O12 O 0.521 0.486 0.452
O13 O 0.656 0.133 0.870
O14 O 0.668 0.832 0.375
O15 O 0.682 0.151 0.139
O16 O 0.721 0.816 0.654
O17 O 0.830 0.711 0.156
O18 O 0.848 0.656 0.875
O19 O 0.858 0.316 0.379
O20 O 0.874 0.333 0.635
```


Entry 3:
The following is a DFT calculation (GGA-PBE) of a relaxed BaP2H2O6 crystal.

Computed properties:
- DFT total energy: -402.598 eV per cell
- Formation energy: -22.003 eV/f.u.
- ρ: 2.64 g/cm³

The structure in CIF format:
```
data_BaP2H2O6
_chemical_formula_sum 'Ba6 P12 H12 O36'
_cell_length_a 7.711
_cell_length_b 11.890
_cell_length_c 13.166
_cell_angle_alpha 105.96
_cell_angle_beta 98.07
_cell_angle_gamma 99.41
_symmetry_space_group_name_H-M 'P -1'
_symmetry_Int_Tables_number 2
loop_
_symmetry_equiv_pos_as_xyz
'x,y,z'
'-x,-y,-z'
loop_
_atom_site_label
_atom_site_type_symbol
_atom_site_fract_x
_atom_site_fract_y
_atom_site_fract_z
Ba1 Ba 0.020 0.330 0.245
Ba2 Ba 0.206 0.124 0.475
Ba3 Ba 0.443 0.465 0.808
P1 P 0.066 0.622 0.162
P2 P 0.076 0.164 0.757
P3 P 0.191 0.795 0.538
P4 P 0.197 0.313 0.981
P5 P 0.376 0.616 0.431
P6 P 0.471 0.721 0.663
H1 H 0.097 0.929 0.850
H2 H 0.136 0.474 0.606
H3 H 0.277 0.065 0.068
H4 H 0.285 0.692 0.951
H5 H 0.439 0.921 0.365
H6 H 0.482 0.908 0.144
O1 O 0.013 0.965 0.291
O2 O 0.024 0.369 0.955
O3 O 0.037 0.740 0.580
O4 O 0.065 0.465 0.805
O5 O 0.081 0.758 0.237
O6 O 0.152 0.186 0.885
O7 O 0.170 0.905 0.508
O8 O 0.191 0.289 0.087
O9 O 0.219 0.220 0.708
O10 O 0.224 0.696 0.435
O11 O 0.251 0.604 0.158
O12 O 0.297 0.494 0.354
O13 O 0.332 0.231 0.320
O14 O 0.366 0.391 0.973
O15 O 0.378 0.684 0.745
O16 O 0.378 0.823 0.624
O17 O 0.405 0.607 0.552
O18 O 0.456 0.318 0.589
```


Entry 4:
The following is a DFT calculation (GGA-PBE) of a relaxed BaP2H4O8 crystal.

Computed properties:
- DFT total energy: -188.974 eV per cell
- Formation energy: -34.083 eV/f.u.
- ρ: 2.74 g/cm³

The structure in CIF format:
```
data_BaP2H4O8
_chemical_formula_sum 'Ba2 P4 H8 O16'
_cell_length_a 7.074
_cell_length_b 7.434
_cell_length_c 8.278
_cell_angle_alpha 100.87
_cell_angle_beta 100.23
_cell_angle_gamma 104.52
_symmetry_space_group_name_H-M 'P -1'
_symmetry_Int_Tables_number 2
loop_
_symmetry_equiv_pos_as_xyz
'x,y,z'
'-x,-y,-z'
loop_
_atom_site_label
_atom_site_type_symbol
_atom_site_fract_x
_atom_site_fract_y
_atom_site_fract_z
Ba1 Ba 0.227 0.257 0.372
P1 P 0.231 0.741 0.386
P2 P 0.268 0.183 0.913
H1 H 0.000 0.000 0.000
H2 H 0.091 0.372 0.749
H3 H 0.243 0.966 0.614
H4 H 0.440 0.878 0.178
H5 H 0.500 0.000 0.000
O1 O 0.034 0.577 0.286
O2 O 0.086 0.001 0.886
O3 O 0.144 0.857 0.530
O4 O 0.248 0.269 0.759
O5 O 0.312 0.887 0.289
O6 O 0.315 0.310 0.088
O7 O 0.378 0.648 0.465
O8 O 0.455 0.089 0.899
```


Entry 5:
The following is a DFT calculation (GGA-PBE) of a relaxed BaP2H4O8 crystal.

Computed properties:
- DFT total energy: -381.096 eV per cell
- Formation energy: -34.870 eV/f.u.
- ρ: 3.10 g/cm³

The structure in CIF format:
```
data_BaP2H4O8
_chemical_formula_sum 'Ba4 P8 H16 O32'
_cell_length_a 7.789
_cell_length_b 10.573
_cell_length_c 8.628
_cell_angle_alpha 90.00
_cell_angle_beta 90.00
_cell_angle_gamma 90.00
_symmetry_space_group_name_H-M 'P c c n'
_symmetry_Int_Tables_number 56
loop_
_symmetry_equiv_pos_as_xyz
'x,y,z'
'-x,-y,-z'
'-x+1/2,-y+1/2,z'
'x+1/2,y+1/2,-z'
'x+1/2,-y,-z+1/2'
'-x+1/2,y,z+1/2'
'-x,y+1/2,-z+1/2'
'x,-y+1/2,z+1/2'
loop_
_atom_site_label
_atom_site_type_symbol
_atom_site_fract_x
_atom_site_fract_y
_atom_site_fract_z
Ba1 Ba 0.250 0.250 0.100
P1 P 0.075 0.577 0.208
H1 H 0.082 0.578 0.698
H2 H 0.184 0.618 0.449
O1 O 0.037 0.067 0.754
O2 O 0.083 0.139 0.361
O3 O 0.103 0.652 0.367
O4 O 0.239 0.570 0.113
```


Entry 6:
The following is a DFT calculation (GGA-PBE) of a relaxed BaP2H4O4 crystal.

Computed properties:
- DFT total energy: -250.406 eV per cell
- Formation energy: -19.241 eV/f.u.
- ρ: 2.77 g/cm³

The structure in CIF format:
```
data_BaP2H4O4
_chemical_formula_sum 'Ba4 P8 H16 O16'
_cell_length_a 6.342
_cell_length_b 16.059
_cell_length_c 6.292
_cell_angle_alpha 90.00
_cell_angle_beta 90.00
_cell_angle_gamma 90.00
_symmetry_space_group_name_H-M 'C c c e'
_symmetry_Int_Tables_number 68
loop_
_symmetry_equiv_pos_as_xyz
'x,y,z'
'-x,-y,-z'
'-x+1/2,-y,z'
'x+1/2,y,-z'
'x+1/2,-y,-z+1/2'
'-x+1/2,y,z+1/2'
'-x,y,-z+1/2'
'x,-y,z+1/2'
'x+1/2,y+1/2,z'
'-x+1/2,-y+1/2,-z'
'-x,-y+1/2,z'
'x,y+1/2,-z'
'x,-y+1/2,-z+1/2'
'-x,y+1/2,z+1/2'
'-x+1/2,y+1/2,-z+1/2'
'x+1/2,-y+1/2,z+1/2'
loop_
_atom_site_label
_atom_site_type_symbol
_atom_site_fract_x
_atom_site_fract_y
_atom_site_fract_z
Ba1 Ba 0.000 0.250 0.250
P1 P 0.000 0.110 0.750
H1 H 0.123 0.055 0.624
O1 O 0.147 0.159 0.896
```